The following is a GGA-PBE calculation of a relaxed Nb2Sb crystal, from the Materials Project.

Values from the calculation:
symmetry = P1 (1)
total moment = 0.00 μB per formula unit

POSCAR file:
```
Nb2Sb
1.0
-1.492 2.926 0.265
-23.160 -24.154 -6.924
-1.611 -3.000 3.519
Nb Sb
14 7
direct
0.055 0.863 0.065 Nb
0.866 0.766 0.374 Nb
0.074 0.721 0.097 Nb
0.242 0.960 0.766 Nb
0.083 0.579 0.113 Nb
0.076 0.435 0.104 Nb
0.865 0.334 0.388 Nb
0.880 0.622 0.408 Nb
0.061 0.292 0.079 Nb
0.880 0.478 0.413 Nb
0.050 0.148 0.067 Nb
0.046 0.004 0.061 Nb
0.851 0.192 0.362 Nb
0.847 0.048 0.358 Nb
0.437 0.916 0.459 Sb
0.670 0.809 0.677 Sb
0.684 0.666 0.709 Sb
0.686 0.522 0.718 Sb
0.671 0.378 0.696 Sb
0.656 0.234 0.673 Sb
0.653 0.092 0.665 Sb
```

***

The following is a GGA-PBE calculation of a relaxed Nb5Sb4 crystal, from the Materials Project.

Values from the calculation:
symmetry = I4/m (87)
E above lowest polymorph = 0 meV/atom

POSCAR file:
```
Nb5Sb4
1.0
6.405 1.272 -3.855
-3.850 -2.587 5.999
-1.930 -5.920 -4.328
Nb Sb
5 4
direct
0.000 0.000 0.000 Nb
0.688 0.372 0.061 Nb
0.372 0.312 0.684 Nb
0.628 0.688 0.316 Nb
0.312 0.628 0.939 Nb
0.947 0.293 0.240 Sb
0.293 0.053 0.346 Sb
0.707 0.947 0.654 Sb
0.053 0.707 0.760 Sb
```

***

The following is a GGA-PBE calculation of a relaxed Nb2Sb crystal, from the Materials Project.

Values from the calculation:
symmetry = P1 (1)
total moment = 0.00 μB per formula unit

POSCAR file:
```
Nb2Sb
1.0
2.938 0.000 0.000
0.782 6.903 0.000
1.372 2.368 21.027
Nb Sb
14 7
direct
0.603 0.068 0.861 Nb
0.890 0.836 0.765 Nb
0.083 0.204 0.720 Nb
0.257 0.320 0.946 Nb
0.661 0.342 0.578 Nb
0.238 0.489 0.435 Nb
0.621 0.265 0.341 Nb
0.466 0.972 0.626 Nb
0.812 0.643 0.292 Nb
0.044 0.114 0.483 Nb
0.387 0.806 0.150 Nb
0.998 0.951 0.008 Nb
0.196 0.421 0.198 Nb
0.774 0.581 0.062 Nb
0.668 0.693 0.927 Sb
0.411 0.462 0.807 Sb
0.041 0.598 0.659 Sb
0.621 0.743 0.515 Sb
0.193 0.893 0.372 Sb
0.768 0.052 0.229 Sb
0.363 0.212 0.082 Sb
```

***

Number 1: energy of formation from the pure elements 0.2 eV per formula unit, calculated density 8.2 g/cm³. Number 2: energy of formation from the pure elements -3.5 eV per formula unit, calculated density 8.1 g/cm³. Number 3: energy of formation from the pure elements -0.1 eV per formula unit, calculated density 8.4 g/cm³.